Fe2P2H6C2O13: relaxed, GGA+U.

Properties
Energy of formation ... -1.440 eV per atom
Electronic total energy ... -6.14 eV/atom
Excess energy over the best structure of this formula in the dataset ... 0.058 eV/atom

Unit cell a=18.1464 b=5.0021 c=7.5844 alpha=73.56 beta=90.00 gamma=90.00
Atoms (fractional coordinates):
H (0.6062, 0.4121, 0.9246)
O (0.6319, 0.1047, 0.4694)
O (0.1319, 0.8953, 0.5306)
Fe (0.1401, 0.1202, 0.7425)
C (0.9997, 0.8656, 0.8422)
P (0.2951, 0.8275, 0.9952)
O (0.7662, 0.0781, 0.5862)
O (0.3653, 0.8167, 0.8687)
H (0.3126, 0.3801, 0.6516)
O (0.5996, 0.8091, 0.8402)
H (0.3876, 0.5158, 0.6828)
O (0.4445, 0.2879, 0.1044)
O (0.7261, 0.0985, 0.1309)
P (0.7035, 0.2424, 0.4860)
P (0.2035, 0.7576, 0.5140)
O (0.6372, 0.5524, 0.8327)
O (0.0996, 0.1909, 0.1598)
O (0.1372, 0.4476, 0.1673)
H (0.8876, 0.4842, 0.3172)
O (0.4206, 0.8055, 0.3620)
O (0.2830, 0.4824, 0.0949)
Fe (0.8443, 0.9000, 0.7921)
O (0.7830, 0.5176, 0.9051)
H (0.8764, 0.9793, 0.1976)
H (0.1062, 0.5879, 0.0754)
C (0.4997, 0.1344, 0.1578)
O (0.9445, 0.7121, 0.8956)
O (0.2662, 0.9219, 0.4138)
O (0.0416, 0.3047, 0.6377)
Fe (0.3443, 0.1000, 0.2079)
H (0.7278, 0.5479, 0.8821)
H (0.0908, 0.1048, 0.2922)
O (0.5416, 0.6953, 0.3623)
O (0.7114, 0.5514, 0.4078)
Fe (0.6401, 0.8798, 0.2575)
C (0.4865, 0.8536, 0.3071)
O (0.8653, 0.1833, 0.1313)
C (0.9865, 0.1464, 0.6929)
O (0.0657, 0.8152, 0.8993)
P (0.7951, 0.1725, 0.0048)
H (0.8126, 0.6199, 0.3484)
H (0.3764, 0.0207, 0.8024)
H (0.2278, 0.4521, 0.1179)
H (0.5908, 0.8952, 0.7078)
O (0.2261, 0.9015, 0.8691)
O (0.8638, 0.6626, 0.3090)
O (0.3638, 0.3374, 0.6910)
O (0.5657, 0.1848, 0.1007)
O (0.9206, 0.1945, 0.6380)
O (0.2114, 0.4486, 0.5922)

FePH5CO8: relaxed, GGA+U.

Properties
Energy of formation ... -1.162 eV per atom
Electronic total energy ... -5.66 eV/atom
Excess energy over the best structure of this formula in the dataset ... 0.547 eV/atom

Unit cell a=10.7621 b=7.9488 c=10.4460 alpha=80.60 beta=90.00 gamma=90.00
Atoms (fractional coordinates):
O (0.9599, 0.5632, 0.1429)
O (0.1357, 0.9245, 0.0854)
H (0.0213, 0.1692, 0.5905)
Fe (0.6374, 0.4186, 0.3694)
O (0.6639, 0.7791, 0.0592)
O (0.6768, 0.3566, 0.5678)
H (0.4787, 0.1692, 0.0905)
H (0.6254, 0.6733, 0.1114)
O (0.7051, 0.7142, 0.5709)
O (0.1768, 0.6434, 0.9322)
H (0.0835, 0.5450, 0.6483)
Fe (0.3626, 0.5814, 0.6306)
O (0.9903, 0.1099, 0.1344)
P (0.1832, 0.4833, 0.8430)
C (0.4687, 0.0156, 0.5631)
O (0.0097, 0.8901, 0.8656)
O (0.3361, 0.2209, 0.9408)
H (0.9787, 0.8308, 0.4095)
H (0.6121, 0.2693, 0.6001)
O (0.6694, 0.4899, 0.1823)
O (0.8643, 0.0755, 0.9146)
O (0.1660, 0.5662, 0.6816)
Fe (0.1374, 0.5814, 0.1306)
C (0.9687, 0.9844, 0.9369)
O (0.3232, 0.6434, 0.4322)
H (0.6768, 0.0449, 0.3376)
O (0.7949, 0.7142, 0.0709)
P (0.3168, 0.4833, 0.3430)
C (0.0313, 0.0156, 0.0631)
H (0.8879, 0.2693, 0.1001)
H (0.1768, 0.9551, 0.1624)
C (0.5313, 0.9844, 0.4369)
O (0.2949, 0.2858, 0.4291)
H (0.8232, 0.0449, 0.8376)
H (0.3232, 0.9551, 0.6624)
H (0.1254, 0.3267, 0.3886)
O (0.1694, 0.5101, 0.3177)
O (0.8232, 0.3566, 0.0678)
O (0.6660, 0.4338, 0.8184)
H (0.4165, 0.5450, 0.1483)
O (0.3643, 0.9245, 0.5854)
O (0.4903, 0.8901, 0.3656)
P (0.6832, 0.5167, 0.6570)
O (0.4599, 0.4368, 0.3571)
O (0.5097, 0.1099, 0.6344)
O (0.3340, 0.5662, 0.1816)
H (0.5213, 0.8308, 0.9095)
O (0.6357, 0.0755, 0.4146)
O (0.8306, 0.4899, 0.6823)
O (0.3306, 0.5101, 0.8177)
H (0.3879, 0.7307, 0.3999)
O (0.8340, 0.4338, 0.3184)
O (0.5401, 0.5632, 0.6429)
H (0.9165, 0.4550, 0.3517)
O (0.1639, 0.2209, 0.4408)
O (0.8361, 0.7791, 0.5592)
H (0.3746, 0.3267, 0.8886)
O (0.2051, 0.2858, 0.9291)
Fe (0.8626, 0.4186, 0.8694)
H (0.1121, 0.7307, 0.8999)
O (0.0401, 0.4368, 0.8571)
P (0.8168, 0.5167, 0.1570)
H (0.5835, 0.4550, 0.8517)
H (0.8746, 0.6733, 0.6115)

FePH5CO8: relaxed, GGA+U.

Properties
Energy of formation ... -1.705 eV per atom
Electronic total energy ... -6.20 eV/atom
Excess energy over the best structure of this formula in the dataset ... 0.004 eV/atom

Unit cell a=7.2586 b=9.7751 c=10.5721 alpha=90.00 beta=99.88 gamma=90.00
Atoms (fractional coordinates):
O (0.9489, 0.1582, 0.8289)
H (0.0207, 0.8314, 0.4714)
Fe (0.6218, 0.2060, 0.9418)
O (0.8525, 0.1801, 0.5527)
H (0.7018, 0.6703, 0.9634)
H (0.7830, 0.9795, 0.4987)
H (0.7669, 0.8653, 0.6790)
O (0.0511, 0.8418, 0.1711)
C (0.9460, 0.9307, 0.1347)
O (0.5954, 0.1359, 0.3195)
O (0.8406, 0.0180, 0.0967)
H (0.8733, 0.1961, 0.6454)
O (0.8525, 0.3199, 0.0527)
O (0.7547, 0.8511, 0.7707)
H (0.7669, 0.6347, 0.1790)
C (0.0540, 0.0693, 0.8653)
O (0.8406, 0.4820, 0.5967)
H (0.2170, 0.4795, 0.0013)
O (0.5507, 0.0431, 0.8366)
O (0.9489, 0.3418, 0.3289)
P (0.5506, 0.6082, 0.3009)
O (0.1937, 0.3818, 0.9836)
O (0.2453, 0.1489, 0.2293)
O (0.1937, 0.1182, 0.4836)
H (0.2982, 0.3297, 0.0366)
O (0.1475, 0.8199, 0.4473)
O (0.1594, 0.9820, 0.9033)
H (0.9793, 0.3314, 0.0286)
O (0.1594, 0.5180, 0.4033)
O (0.4493, 0.5431, 0.6634)
H (0.2982, 0.1703, 0.5366)
O (0.5316, 0.7967, 0.9150)
H (0.1267, 0.8039, 0.3546)
H (0.2331, 0.3653, 0.8210)
O (0.5316, 0.7033, 0.4150)
O (0.4684, 0.2033, 0.0850)
Fe (0.3782, 0.7060, 0.5582)
C (0.0540, 0.4307, 0.3653)
H (0.2331, 0.1347, 0.3210)
O (0.1475, 0.6801, 0.9473)
O (0.4684, 0.2967, 0.5850)
Fe (0.3782, 0.7940, 0.0582)
O (0.2453, 0.3511, 0.7293)
O (0.5507, 0.4569, 0.3366)
O (0.5954, 0.3641, 0.8195)
H (0.7830, 0.5205, 0.9987)
O (0.4046, 0.8641, 0.6805)
O (0.8063, 0.6182, 0.0164)
P (0.4494, 0.1082, 0.1991)
C (0.9460, 0.5693, 0.6347)
H (0.9793, 0.1686, 0.5286)
O (0.4046, 0.6359, 0.1805)
O (0.0511, 0.6582, 0.6711)
H (0.0207, 0.6686, 0.9714)
Fe (0.6218, 0.2940, 0.4418)
P (0.4494, 0.3918, 0.6991)
O (0.4493, 0.9569, 0.1634)
O (0.8063, 0.8818, 0.5164)
H (0.8733, 0.3039, 0.1454)
H (0.7018, 0.8297, 0.4634)
H (0.2170, 0.0205, 0.5013)
H (0.1267, 0.6961, 0.8546)
O (0.7547, 0.6489, 0.2707)
P (0.5506, 0.8918, 0.8009)

FePH6C2SO7: relaxed, GGA+U.

Properties
Energy of formation ... -0.985 eV per atom
Electronic total energy ... -5.67 eV/atom

Unit cell a=7.4986 b=9.9975 c=12.2186 alpha=112.07 beta=90.00 gamma=90.00
Atoms (fractional coordinates):
H (0.8879, 0.5790, 0.9976)
H (0.6289, 0.4736, 0.3265)
O (0.2153, 0.5519, 0.9151)
H (0.5397, 0.9297, 0.3698)
P (0.6193, 0.5326, 0.1525)
O (0.9446, 0.0549, 0.8802)
S (0.3550, 0.8454, 0.6236)
Fe (0.3669, 0.2590, 0.9960)
C (0.1479, 0.9267, 0.6908)
O (0.4010, 0.3227, 0.8628)
H (0.3644, 0.0565, 0.3766)
O (0.1112, 0.3288, 0.0133)
H (0.1289, 0.0264, 0.6735)
H (0.6356, 0.9435, 0.6234)
C (0.6479, 0.5733, 0.3092)
H (0.5446, 0.6523, 0.3567)
H (0.5220, 0.0387, 0.7612)
C (0.0090, 0.5093, 0.3351)
O (0.9010, 0.1773, 0.1372)
Fe (0.6331, 0.7410, 0.0040)
H (0.8711, 0.9736, 0.3265)
O (0.8259, 0.7055, 0.5036)
O (0.8888, 0.6712, 0.9867)
P (0.8807, 0.0326, 0.1525)
O (0.5874, 0.2597, 0.3276)
H (0.8644, 0.4435, 0.6234)
C (0.3521, 0.4267, 0.6908)
H (0.0220, 0.4613, 0.2388)
S (0.6450, 0.1546, 0.3764)
C (0.4910, 0.0093, 0.3351)
O (0.3259, 0.7945, 0.4964)
O (0.0990, 0.8227, 0.8628)
O (0.8235, 0.2920, 0.8551)
O (0.4126, 0.7403, 0.6724)
H (0.1356, 0.5565, 0.3766)
H (0.4603, 0.0703, 0.6302)
O (0.6741, 0.2055, 0.5036)
H (0.1121, 0.4210, 0.0024)
O (0.7847, 0.4481, 0.0849)
H (0.9554, 0.1523, 0.3567)
O (0.0554, 0.9451, 0.1198)
P (0.1193, 0.9674, 0.8475)
C (0.9910, 0.4907, 0.6649)
Fe (0.1331, 0.7590, 0.9960)
O (0.9126, 0.7597, 0.3276)
S (0.8550, 0.6546, 0.3764)
O (0.1765, 0.7080, 0.1449)
O (0.0874, 0.2403, 0.6724)
O (0.4446, 0.4451, 0.1198)
O (0.3235, 0.2080, 0.1449)
C (0.8521, 0.0733, 0.3092)
H (0.0397, 0.5703, 0.6302)
H (0.3711, 0.5264, 0.6735)
H (0.9780, 0.5387, 0.7612)
O (0.5990, 0.6773, 0.1372)
C (0.5090, 0.9907, 0.6649)
O (0.2847, 0.0519, 0.9151)
O (0.7153, 0.9481, 0.0849)
O (0.5554, 0.5549, 0.8802)
H (0.6121, 0.0790, 0.9976)
O (0.1741, 0.2945, 0.4964)
O (0.6765, 0.7920, 0.8551)
O (0.3888, 0.8288, 0.0133)
S (0.1450, 0.3454, 0.6236)
Fe (0.8669, 0.2410, 0.0040)
H (0.4554, 0.3477, 0.6433)
H (0.0446, 0.8477, 0.6433)
O (0.6112, 0.1712, 0.9867)
H (0.9603, 0.4297, 0.3698)
P (0.3807, 0.4674, 0.8475)
H (0.3879, 0.9210, 0.0024)
H (0.4780, 0.9613, 0.2388)

FeP3H18C6S6O6: relaxed, GGA+U.

Properties
Energy of formation ... -0.651 eV per atom
Electronic total energy ... -5.31 eV/atom

Unit cell a=9.2183 b=9.2183 c=13.3357 alpha=84.10 beta=84.10 gamma=75.68
Atoms (fractional coordinates):
H (0.4279, 0.8078, 0.3407)
Fe (0.8368, 0.1632, 0.2500)
O (0.2085, 0.3529, 0.1369)
O (0.5253, 0.5778, 0.1729)
S (0.2314, 0.9600, 0.5747)
H (0.0529, 0.8082, 0.4664)
O (0.7115, 0.9003, 0.9053)
C (0.0516, 0.7124, 0.4237)
C (0.6289, 0.6047, 0.0864)
S (0.0400, 0.7686, 0.9253)
O (0.9003, 0.7115, 0.4053)
H (0.1215, 0.7165, 0.3520)
C (0.9484, 0.2876, 0.5763)
H (0.0946, 0.6073, 0.4692)
H (0.9789, 0.4635, 0.8732)
P (0.8578, 0.7946, 0.8512)
H (0.4372, 0.3119, 0.9660)
O (0.4222, 0.4747, 0.3271)
P (0.7946, 0.8578, 0.3512)
C (0.6047, 0.6289, 0.5864)
O (0.6471, 0.7915, 0.3631)
Fe (0.1632, 0.8368, 0.7500)
H (0.7165, 0.1215, 0.8520)
P (0.5678, 0.4322, 0.2500)
H (0.6073, 0.0946, 0.9692)
H (0.6881, 0.5628, 0.5340)
O (0.0997, 0.2885, 0.5947)
S (0.2386, 0.5922, 0.6860)
C (0.5066, 0.8810, 0.3287)
O (0.3529, 0.2085, 0.6369)
S (0.9600, 0.2314, 0.0747)
S (0.8641, 0.8982, 0.2057)
H (0.7178, 0.6495, 0.1114)
H (0.9054, 0.3927, 0.5308)
H (0.8785, 0.2835, 0.6480)
C (0.3711, 0.3953, 0.9136)
C (0.7124, 0.0516, 0.9237)
S (0.1018, 0.1359, 0.2943)
C (0.8810, 0.5066, 0.8287)
H (0.9177, 0.5200, 0.7481)
S (0.1359, 0.1018, 0.7943)
H (0.5200, 0.9177, 0.2481)
H (0.8078, 0.4279, 0.8407)
C (0.4934, 0.1190, 0.6713)
H (0.1922, 0.5721, 0.1593)
P (0.2054, 0.1422, 0.6488)
H (0.3221, 0.4987, 0.9513)
S (0.4078, 0.7614, 0.8140)
S (0.7614, 0.4078, 0.3140)
H (0.2822, 0.3505, 0.8886)
C (0.2876, 0.9484, 0.0763)
C (0.3953, 0.3711, 0.4136)
H (0.5013, 0.6779, 0.5487)
H (0.4800, 0.0823, 0.7519)
P (0.4322, 0.5678, 0.7500)
H (0.3927, 0.9054, 0.0308)
H (0.9471, 0.1918, 0.5336)
H (0.1918, 0.9471, 0.0336)
H (0.3505, 0.2822, 0.3886)
S (0.8982, 0.8641, 0.7057)
H (0.4987, 0.3221, 0.4513)
H (0.5721, 0.1922, 0.6593)
S (0.7686, 0.0400, 0.4253)
O (0.7915, 0.6471, 0.8631)
H (0.3119, 0.4372, 0.4660)
H (0.0823, 0.4800, 0.2519)
H (0.6779, 0.5013, 0.0487)
H (0.5628, 0.6881, 0.0340)
P (0.1422, 0.2054, 0.1488)
H (0.2835, 0.8785, 0.1480)
O (0.4747, 0.4222, 0.8271)
S (0.5922, 0.2386, 0.1860)
O (0.5778, 0.5253, 0.6729)
H (0.5365, 0.0211, 0.6268)
C (0.1190, 0.4934, 0.1713)
H (0.0211, 0.5365, 0.1268)
H (0.8082, 0.0529, 0.9664)
H (0.4635, 0.9789, 0.3732)
O (0.2885, 0.0997, 0.0947)
H (0.6495, 0.7178, 0.6114)

FeHg2C6S2N2O4: relaxed, GGA+U.

Properties
Energy of formation ... -0.222 eV per atom
Electronic total energy ... -6.29 eV/atom

Unit cell a=12.6626 b=12.6626 c=12.6626 alpha=108.93 beta=108.93 gamma=110.57
Atoms (fractional coordinates):
O (0.8654, 0.4517, 0.7119)
O (0.7017, 0.4898, 0.0863)
O (0.3846, 0.2983, 0.7881)
O (0.7987, 0.9178, 0.2770)
O (0.1678, 0.3909, 0.6191)
C (0.4896, 0.9154, 0.3230)
S (0.4376, 0.6776, 0.6206)
C (0.0606, 0.9199, 0.5038)
C (0.1654, 0.3424, 0.9258)
O (0.7717, 0.5487, 0.3809)
O (0.6409, 0.5217, 0.7230)
C (0.4432, 0.9394, 0.8593)
N (0.8518, 0.2819, 0.0916)
O (0.4783, 0.2013, 0.1191)
O (0.5102, 0.5965, 0.2119)
C (0.8068, 0.8106, 0.6407)
C (0.8335, 0.5104, 0.4258)
N (0.7181, 0.8096, 0.5699)
O (0.7398, 0.1535, 0.2881)
C (0.7396, 0.0970, 0.5586)
Fe (0.9463, 0.4463, 0.5000)
S (0.1931, 0.9331, 0.1206)
C (0.5104, 0.6530, 0.9414)
C (0.1699, 0.1661, 0.3593)
C (0.8339, 0.1932, 0.0038)
S (0.0569, 0.8169, 0.3794)
Fe (0.6963, 0.6963, 0.0000)
C (0.0801, 0.5839, 0.1407)
Hg (0.9522, 0.8028, 0.0634)
C (0.3470, 0.2884, 0.8574)
S (0.3224, 0.9431, 0.7600)
S (0.0669, 0.1876, 0.2600)
N (0.3982, 0.4681, 0.4084)
N (0.2397, 0.1482, 0.4301)
N (0.0103, 0.6018, 0.0699)
C (0.0846, 0.4076, 0.5742)
Fe (0.3037, 0.3037, 0.0000)
O (0.4513, 0.8322, 0.2230)
S (0.8124, 0.0724, 0.8794)
C (0.9030, 0.4616, 0.6426)
C (0.7116, 0.5690, 0.0586)
C (0.4165, 0.2396, 0.0742)
S (0.9276, 0.8069, 0.7400)
Hg (0.2978, 0.9472, 0.4366)
C (0.4161, 0.5568, 0.4962)
Hg (0.1388, 0.7022, 0.6493)
C (0.5924, 0.1665, 0.6770)
Hg (0.0528, 0.4895, 0.3507)
C (0.1894, 0.8301, 0.9962)
Hg (0.1112, 0.0478, 0.8507)
O (0.6091, 0.2283, 0.7770)
Hg (0.1972, 0.2605, 0.1493)
C (0.6576, 0.5835, 0.8230)
C (0.8190, 0.2604, 0.3574)
O (0.8465, 0.1346, 0.5863)
S (0.1831, 0.5624, 0.2400)
N (0.0596, 0.9897, 0.5916)
C (0.4310, 0.4896, 0.1426)
O (0.4035, 0.6154, 0.9137)
O (0.0822, 0.3591, 0.8809)
C (0.7604, 0.8346, 0.1770)
N (0.5319, 0.9404, 0.9301)
Fe (0.5537, 0.0537, 0.5000)
Hg (0.7395, 0.8888, 0.9366)
Hg (0.5105, 0.8612, 0.5634)
O (0.5483, 0.2602, 0.4137)
C (0.5384, 0.1810, 0.4414)
N (0.1904, 0.7603, 0.9084)

Among the records above, which one has the lowest electronic total energy?
FeHg2C6S2N2O4

energy of formation of number 4 (FePH6C2SO7)?
-0.985 eV per atom

Number 2 is which compound?
FePH5CO8

Among the records above, which one has the lowest electronic total energy?
FeHg2C6S2N2O4